#P
An optimized crystal structure of K2Al11Si13Ag9O48. Source: the Materials Project, functional PBE-GGA.

Cell lengths 12.9601, 12.2513, 12.2589 Å; angles 89.99, 89.47, 89.99 degrees
Last column: nearest neighbours and their distance in Å.
Positions (direct):
K 0.5046 0.9903 0.0012  11 O 2.63-2.89, 5 Al 2.88-2.93, 2 Si 2.93-2.94
K 0.6003 0.4994 0.9958  3 O 2.68-2.85
Ag 0.2018 0.2044 0.1984  3 O 2.31-2.44
Ag 0.8012 0.8244 0.8265  3 O 2.28-2.37
Ag 0.2006 0.8060 0.8075  3 O 2.28-2.46
Ag 0.7702 0.9890 0.0036  4 O 2.55-2.63
Ag 0.8055 0.1586 0.8317  3 O 2.26-2.35
Ag 0.1993 0.7931 0.1889  3 O 2.34-2.44
Ag 0.7946 0.8214 0.1773  3 O 2.27-2.38
Ag 0.7993 0.1615 0.1723  3 O 2.26-2.36
Ag 0.2012 0.1923 0.7983  3 O 2.32-2.46
O 0.1147 0.8731 0.6602  1 Si 1.65, 1 Al 1.78
O 0.6466 0.1082 0.8892  2 Al 1.79-1.81
O 0.0072 0.7832 0.4978  2 Si 1.63-1.66
O 0.2890 0.0070 0.7113  1 Si 1.61, 1 Al 1.75
O 0.7083 0.6856 0.0036  2 Al 1.72-1.73
O 0.2149 0.4997 0.9920  1 Si 1.59, 1 Al 1.72
O 0.2134 0.9921 0.4904  1 Si 1.58, 1 Al 1.73
O 0.9883 0.4935 0.2154  2 Si 1.63-1.65
O 0.3417 0.8875 0.1168  1 Si 1.64, 1 Al 1.82
O 0.4904 0.9991 0.7734  1 Si 1.61, 1 Al 1.77
O 0.3449 0.8888 0.8844  1 Si 1.65, 1 Al 1.80
O 0.1079 0.1081 0.3408  2 Si 1.66-1.69
O 0.8357 0.9952 0.5000  2 Al 1.67
O 0.3443 0.1063 0.1112  2 Si 1.69
O 0.6435 0.8783 0.8897  2 Al 1.80
O 0.1099 0.1168 0.6544  1 Si 1.64, 1 Al 1.77
O 0.0111 0.2957 0.3043  2 Si 1.64-1.65
O 0.9057 0.1110 0.6811  1 Si 1.62, 1 Al 1.81
O 0.2620 0.7115 0.9998  1 Si 1.61, 1 Al 1.74
O 0.6375 0.8773 0.1182  2 Al 1.80
O 0.7201 0.9882 0.7049  2 Al 1.70-1.72
O 0.9042 0.1101 0.3174  1 Si 1.62
O 0.1064 0.3328 0.8769  1 Si 1.65, 1 Al 1.77
O 0.9017 0.6738 0.8809  1 Si 1.63, 1 Al 1.81
O 0.9906 0.4927 0.7920  2 Si 1.63-1.64
O 0.0214 0.6933 0.2988  2 Si 1.65
O 0.9062 0.8721 0.3218  1 Si 1.61
O 0.8202 0.4941 0.0006  2 Al 1.69
O 0.2757 0.0048 0.2850  2 Si 1.64
O 0.1049 0.3400 0.1181  1 Si 1.64, 1 Al 1.77
O 0.1021 0.6430 0.1083  2 Si 1.66-1.67
O 0.4890 0.7481 0.0008  2 Al 1.71-1.74
O 0.9926 0.2029 0.4986  2 Si 1.62-1.65
O 0.4819 0.9982 0.2338  1 Si 1.60, 1 Al 1.79
O 0.7145 0.9889 0.2999  2 Al 1.71-1.72
O 0.4866 0.2254 0.0019  1 Si 1.61, 1 Al 1.79
O 0.3473 0.1061 0.8917  2 Si 1.67-1.70
O 0.6409 0.1086 0.1187  2 Al 1.79-1.80
O 0.8992 0.3152 0.1221  1 Si 1.63, 1 Al 1.81
O 0.0048 0.3005 0.6922  2 Si 1.64-1.65
O 0.7037 0.3050 0.0039  2 Al 1.72-1.75
O 0.2835 0.2796 0.0018  1 Si 1.60, 1 Al 1.75
O 0.8999 0.6729 0.1226  1 Si 1.62, 1 Al 1.81
O 0.9009 0.3134 0.8828  1 Si 1.63, 1 Al 1.80
O 0.1043 0.6501 0.8845  2 Si 1.66-1.67
O 0.1116 0.8839 0.3344  2 Si 1.67-1.69
O 0.0142 0.6864 0.6948  2 Si 1.64-1.66
O 0.9085 0.8710 0.6759  1 Si 1.62, 1 Al 1.81
Al 0.3665 0.8006 0.9992  4 O 1.71-1.82
Al 0.8365 0.9912 0.6362  4 O 1.67-1.81
Al 0.6239 0.9931 0.8003  4 O 1.70-1.81
Al 0.8294 0.3567 0.0019  4 O 1.69-1.81
Al 0.8315 0.6311 0.0015  4 O 1.69-1.81
Al 0.1813 0.9963 0.6275  4 O 1.73-1.78
Al 0.8321 0.9913 0.3643  4 O 1.67-1.82
Al 0.1758 0.3652 0.9962  4 O 1.72-1.77
Al 0.6213 0.1951 0.0033  4 O 1.72-1.79
Al 0.6180 0.7884 0.0030  4 O 1.72-1.80
Al 0.6174 0.9928 0.2065  4 O 1.71-1.80
Si 0.1764 0.9967 0.3681  4 O 1.58-1.67
Si 0.9987 0.3603 0.8120  4 O 1.63-1.65
Si 0.9983 0.6233 0.1865  4 O 1.62-1.66
Si 0.9989 0.1786 0.3684  4 O 1.62-1.69
Si 0.0012 0.1810 0.6308  4 O 1.62-1.65
Si 0.3655 0.9962 0.1907  4 O 1.60-1.69
Si 0.9986 0.6238 0.8122  4 O 1.63-1.67
Si 0.1717 0.6212 0.9954  4 O 1.59-1.67
Si 0.3708 0.9973 0.8087  4 O 1.61-1.70
Si 0.0061 0.8086 0.3671  4 O 1.61-1.69
Si 0.0085 0.8052 0.6310  4 O 1.62-1.66
Si 0.3686 0.1845 0.0005  4 O 1.60-1.69
Si 0.9981 0.3621 0.1882  4 O 1.63-1.65

Results
* space-group type: P1

---

#Q
An optimized crystal structure of K2Al11Si13Ag9O48. Source: the Materials Project, functional PBE-GGA.

Cell lengths 12.1755, 12.3395, 12.9247 Å; angles 89.52, 90.00, 89.93 degrees
Last column: nearest neighbours and their distance in Å.
Positions (direct):
O 0.3123 0.1177 0.1061  1 Si 1.64, 1 Al 1.83
O 0.9977 0.4976 0.1924  2 Al 1.67
O 0.3404 0.1215 0.8993  1 Si 1.65, 1 Al 1.77
O 0.8855 0.8806 0.6594  1 Si 1.65, 1 Al 1.83
O 0.8797 0.1055 0.3572  2 Al 1.78-1.82
O 0.3440 0.8839 0.9037  1 Si 1.65, 1 Al 1.78
O 0.3186 0.0040 0.3036  2 Al 1.73-1.77
O 0.9899 0.2817 0.2724  2 Al 1.71-1.73
O 0.1111 0.3244 0.0925  1 Si 1.61, 1 Al 1.80
O 0.8878 0.1146 0.6528  1 Si 1.65, 1 Al 1.80
O 0.3020 0.3050 0.9980  2 Si 1.64
O 0.4974 0.0067 0.7739  1 Si 1.60, 1 Al 1.73
O 0.6869 0.9960 0.2846  2 Al 1.71
O 0.6830 0.8759 0.0934  1 Si 1.62
O 0.4946 0.2137 0.0209  2 Si 1.63-1.65
O 0.3176 0.8730 0.1108  1 Si 1.64, 1 Al 1.83
O 0.0063 0.2892 0.7076  1 Si 1.61, 1 Al 1.74
O 0.2336 0.0006 0.5165  1 Si 1.63
O 0.4987 0.9979 0.1433  2 Al 1.69
O 0.4970 0.7783 0.0176  2 Si 1.64-1.65
O 0.8710 0.3344 0.0902  1 Si 1.61
O 0.6336 0.8908 0.8933  2 Si 1.66-1.67
O 0.6972 0.7029 0.9690  2 Si 1.65-1.66
O 0.7779 0.5011 0.9810  2 Si 1.63-1.66
O 0.0062 0.7097 0.7184  2 Si 1.63-1.64
O 0.1144 0.8796 0.3600  2 Al 1.76-1.82
O 0.2742 0.9976 0.7245  1 Si 1.61, 1 Al 1.76
O 0.8900 0.6640 0.8866  2 Si 1.67-1.69
O 0.2985 0.6954 0.9923  2 Si 1.64-1.66
O 0.9957 0.7655 0.5162  1 Si 1.60
O 0.1172 0.6599 0.8848  2 Si 1.67-1.69
O 0.7139 0.0055 0.7405  1 Si 1.61, 1 Al 1.74
O 0.7484 0.9968 0.5105  2 Al 1.70-1.74
O 0.0011 0.2246 0.5086  1 Si 1.61, 1 Al 1.77
O 0.6367 0.1144 0.8951  2 Si 1.65-1.67
O 0.8776 0.8829 0.3598  2 Al 1.79-1.81
O 0.6879 0.3029 0.9811  2 Si 1.65
O 0.9921 0.7072 0.2788  2 Al 1.72-1.73
O 0.8761 0.3367 0.8830  1 Si 1.65, 1 Al 1.78
O 0.9992 0.5072 0.7874  1 Si 1.58, 1 Al 1.73
O 0.1055 0.1061 0.6557  2 Si 1.67-1.71
O 0.8694 0.6646 0.0935  1 Si 1.61
O 0.1067 0.6735 0.0896  1 Si 1.61
O 0.1053 0.8880 0.6546  2 Si 1.68-1.70
O 0.1150 0.1088 0.3564  2 Al 1.80-1.82
O 0.2074 0.4996 0.9996  2 Si 1.63-1.65
O 0.1214 0.3400 0.8873  1 Si 1.64, 1 Al 1.78
O 0.6832 0.1190 0.0947  1 Si 1.62, 1 Al 1.82
Ag 0.8213 0.1789 0.2014  3 O 2.30-2.46
Ag 0.2110 0.8038 0.8006  3 O 2.32-2.50
Ag 0.9829 0.9944 0.2275  4 O 2.51-2.73
Ag 0.1863 0.1867 0.8111  3 O 2.28-2.46
Ag 0.8025 0.1904 0.7997  3 O 2.29-2.54
Ag 0.8178 0.8150 0.2054  3 O 2.29-2.44
Ag 0.1638 0.8200 0.2001  3 O 2.28-2.42
Ag 0.1525 0.1636 0.1907  3 O 2.29-2.40
Ag 0.7885 0.8069 0.7982  3 O 2.33-2.48
Al 0.9934 0.7960 0.3804  4 O 1.72-1.82
Al 0.9923 0.3658 0.1648  4 O 1.67-1.81
Al 0.7994 0.9995 0.6330  4 O 1.70-1.83
Al 0.3636 0.9973 0.1739  4 O 1.69-1.83
Al 0.9942 0.1934 0.3750  4 O 1.71-1.82
Al 0.3676 0.0025 0.8281  4 O 1.73-1.78
Al 0.9916 0.6301 0.1675  4 O 1.67-1.82
Al 0.9999 0.3704 0.8168  4 O 1.73-1.78
Al 0.7842 0.9950 0.3801  4 O 1.71-1.82
Al 0.2009 0.9918 0.3780  4 O 1.73-1.84
Al 0.6364 0.9969 0.1610  4 O 1.69-1.83
Si 0.6167 0.0046 0.8255  4 O 1.60-1.66
Si 0.6241 0.1874 0.0023  4 O 1.62-1.67
Si 0.0022 0.6305 0.8201  4 O 1.58-1.67
Si 0.9950 0.8076 0.6329  4 O 1.60-1.70
Si 0.6252 0.8126 0.9987  4 O 1.62-1.67
Si 0.3629 0.1866 0.0081  4 O 1.64-1.65
Si 0.1836 0.3682 0.9967  4 O 1.61-1.65
Si 0.8091 0.6294 0.9883  4 O 1.61-1.69
Si 0.9973 0.1898 0.6286  4 O 1.61-1.71
Si 0.1824 0.6291 0.9970  4 O 1.61-1.69
Si 0.1843 0.9978 0.6335  4 O 1.61-1.68
Si 0.3656 0.8107 0.0088  4 O 1.64-1.66
Si 0.8054 0.3697 0.9871  4 O 1.61-1.66
K 0.9899 0.9974 0.4960  10 O 2.60-2.87, 1 Al 2.87
K 0.3991 0.1338 0.4569  2 O 2.71-2.74

Results
* space-group type: P1

---

Most stable: #P

---

#P
An optimized crystal structure of Na8Al11Si13Ag3O48. Source: the Materials Project, functional PBE-GGA.

Cell lengths 12.3131, 12.4037, 12.6410 Å; angles 90.21, 90.57, 90.13 degrees
Last column: nearest neighbours and their distance in Å.
Positions (direct):
O 0.7037 0.7033 0.0185  2 Si 1.66-1.67
O 0.5044 0.0008 0.2057  2 Si 1.62-1.64
O 0.9860 0.7052 0.7068  2 Al 1.71-1.74
O 0.8757 0.1195 0.6562  2 Al 1.70-1.73
O 0.1175 0.1169 0.6619  2 Al 1.70-1.74
O 0.9909 0.7037 0.2807  1 Si 1.60, 1 Al 1.78
O 0.8788 0.8867 0.6574  2 Al 1.71-1.72
O 0.7810 0.4994 0.0037  2 Si 1.65
O 0.2966 0.7029 0.0196  2 Si 1.66-1.67
O 0.5011 0.2153 0.0052  2 Si 1.64
O 0.6970 0.3000 0.0068  2 Si 1.65-1.66
O 0.3314 0.1206 0.8978  1 Si 1.59
O 0.7772 0.0018 0.4852  1 Si 1.57
O 0.3462 0.1102 0.1074  2 Si 1.67-1.68
O 0.3005 0.0161 0.7091  2 Al 1.69-1.71
O 0.1143 0.6578 0.1140  2 Si 1.67-1.68
O 0.3357 0.8825 0.9039  1 Si 1.57
O 0.1183 0.3370 0.1079  1 Si 1.65, 1 Al 1.78
O 0.2199 0.4998 0.0087  2 Si 1.65-1.66
O 0.9901 0.2933 0.2972  1 Si 1.64, 1 Al 1.75
O 0.9972 0.7678 0.4961  2 Al 1.73-1.79
O 0.7079 0.0047 0.2830  2 Si 1.62-1.69
O 0.1057 0.1159 0.3344  1 Si 1.64, 1 Al 1.82
O 0.8894 0.6568 0.1067  2 Si 1.66-1.68
O 0.3006 0.0041 0.2793  1 Si 1.58
O 0.0006 0.5035 0.2113  1 Si 1.60, 1 Al 1.72
O 0.3465 0.8853 0.1143  2 Si 1.66-1.69
O 0.1134 0.6567 0.9028  1 Si 1.58
O 0.1155 0.8886 0.6557  2 Al 1.73
O 0.3020 0.2989 0.0096  2 Si 1.65-1.66
O 0.6998 0.9992 0.7076  2 Al 1.68-1.71
O 0.8810 0.8914 0.3306  1 Si 1.63, 1 Al 1.81
O 0.9990 0.2981 0.7025  2 Al 1.72-1.75
O 0.6613 0.8885 0.1127  2 Si 1.66-1.70
O 0.8857 0.1122 0.3374  2 Si 1.69-1.70
O 0.6603 0.1139 0.1112  2 Si 1.66-1.69
O 0.8754 0.6620 0.8941  1 Si 1.60
O 0.8772 0.3361 0.1100  1 Si 1.65, 1 Al 1.79
O 0.9984 0.2222 0.4920  1 Si 1.62
O 0.1211 0.3394 0.8949  1 Si 1.62, 1 Al 1.82
O 0.5010 0.7809 0.0091  2 Si 1.64-1.67
O 0.4992 0.0027 0.8026  2 Al 1.66-1.68
O 0.8793 0.3376 0.8955  1 Si 1.62
O 0.1158 0.8835 0.3264  2 Al 1.73-1.74
O 0.6705 0.1177 0.8999  1 Si 1.60
O 0.2259 0.0007 0.4944  2 Al 1.69-1.72
O 0.6675 0.8787 0.9005  1 Si 1.60
O 0.9970 0.5011 0.7714  2 Al 1.72-1.73
Na 0.5231 0.4662 0.4833  1 Ag 5.33, 1 Na 5.95
Na 0.2127 0.2039 0.7835  2 O 2.20-2.30
Na 0.0051 0.3867 0.5580  2 O 2.14-2.20
Na 0.2121 0.7898 0.2135  3 O 2.20-2.40
Na 0.7879 0.2029 0.7817  2 O 2.19-2.34
Na 0.0002 0.6097 0.5681  2 O 2.12-2.17
Na 0.7922 0.7963 0.7816  3 O 2.21-2.42
Na 0.7940 0.7834 0.2124  3 O 2.26-2.44
Al 0.1870 0.9980 0.3657  4 O 1.69-1.82
Al 0.9994 0.3681 0.1807  4 O 1.72-1.79
Al 0.8079 0.0012 0.6237  4 O 1.71-1.79
Al 0.9987 0.6319 0.8202  4 O 1.71-1.83
Al 0.6325 0.9982 0.8226  4 O 1.66-1.83
Al 0.9997 0.3714 0.8187  4 O 1.72-1.83
Al 0.9963 0.8200 0.6284  4 O 1.71-1.79
Al 0.1906 0.0029 0.6260  4 O 1.71-1.74
Al 0.0008 0.8160 0.3677  4 O 1.73-1.81
Al 0.9980 0.1774 0.6302  4 O 1.70-1.83
Al 0.3654 0.9976 0.8257  4 O 1.68-1.83
Si 0.6304 0.1848 0.0005  4 O 1.60-1.69
Si 0.3700 0.8142 0.0030  4 O 1.57-1.69
Si 0.8153 0.9990 0.3667  4 O 1.57-1.69
Si 0.8144 0.6283 0.0004  4 O 1.60-1.67
Si 0.3739 0.9998 0.1774  4 O 1.58-1.67
Si 0.1881 0.3706 0.0020  4 O 1.62-1.66
Si 0.3711 0.1853 0.0002  4 O 1.59-1.68
Si 0.0005 0.6278 0.1785  4 O 1.60-1.68
Si 0.8118 0.3696 0.0007  4 O 1.62-1.66
Si 0.6327 0.0015 0.1774  4 O 1.62-1.66
Si 0.1845 0.6286 0.0040  4 O 1.58-1.68
Si 0.6302 0.8143 0.0034  4 O 1.60-1.70
Si 0.9985 0.1845 0.3695  4 O 1.62-1.70
Ag 0.9432 0.0843 0.0426  3 O 3.34-3.74, 2 Ag 3.59-3.67
Ag 0.1788 0.1795 0.1843  3 O 2.25-2.44
Ag 0.7788 0.2316 0.2351  3 O 2.36-2.58

Results
* space-group type: P1

---

#Q
An optimized crystal structure of Na8Al11Si13Ag3O48. Source: the Materials Project, functional PBE-GGA.

Cell lengths 12.0670, 12.3993, 12.7722 Å; angles 90.15, 91.49, 90.04 degrees
Last column: nearest neighbours and their distance in Å.
Positions (direct):
Na 0.1959 0.2108 0.7924  4 O 2.34-2.54
Na 0.1932 0.1900 0.2147  3 O 2.21-2.44
Na 0.8233 0.8151 0.2169  3 O 2.27-2.51
Na 0.0020 0.6046 0.4079  2 O 2.16-2.22
Na 0.5563 0.9987 0.3860  2 O 2.29-2.49
Na 0.9976 0.3890 0.4319  2 O 2.16-2.20
Na 0.8175 0.1897 0.2138  2 O 2.23-2.31
Na 0.1878 0.8121 0.2184  3 O 2.22-2.45
O 0.2492 0.0033 0.5234  1 Si 1.58
O 0.0001 0.2860 0.2914  2 Al 1.73-1.79
O 0.6539 0.1155 0.8947  2 Si 1.66
O 0.2970 0.7028 0.9830  2 Si 1.65-1.66
O 0.8776 0.3336 0.8899  1 Si 1.65, 1 Al 1.78
O 0.2856 0.0127 0.7274  2 Si 1.60-1.67
O 0.1134 0.1100 0.6549  2 Si 1.66-1.67
O 0.7267 0.0059 0.5005  2 Al 1.72-1.76
O 0.4990 0.7900 0.9954  2 Si 1.64
O 0.1312 0.8830 0.3674  2 Al 1.71-1.73
O 0.1182 0.3438 0.8980  1 Si 1.63, 1 Al 1.77
O 0.2249 0.4997 0.0063  2 Si 1.63-1.65
O 0.0088 0.7465 0.5063  2 Al 1.73-1.79
O 0.8817 0.6586 0.0981  1 Si 1.61, 1 Al 1.80
O 0.0097 0.2361 0.5115  1 Si 1.62
O 0.3019 0.2991 0.9989  2 Si 1.63-1.65
O 0.5058 0.9950 0.1783  2 Al 1.68-1.69
O 0.6974 0.6988 0.9779  2 Si 1.65
O 0.3348 0.1170 0.8968  2 Si 1.65-1.68
O 0.6859 0.1181 0.0985  1 Si 1.61, 1 Al 1.80
O 0.7830 0.4994 0.9869  2 Si 1.63-1.64
O 0.0082 0.7127 0.7284  1 Si 1.60, 1 Al 1.79
O 0.8833 0.3442 0.1030  1 Si 1.62, 1 Al 1.80
O 0.6956 0.0145 0.7209  1 Si 1.59
O 0.1328 0.1171 0.3603  2 Al 1.71-1.74
O 0.3216 0.8775 0.1015  1 Si 1.61
O 0.0017 0.5037 0.2424  2 Al 1.77
O 0.8819 0.8849 0.3729  2 Al 1.71-1.72
O 0.7073 0.9926 0.2816  2 Al 1.70-1.75
O 0.8869 0.1164 0.6465  1 Si 1.64, 1 Al 1.82
O 0.6858 0.8780 0.0912  1 Si 1.61, 1 Al 1.80
O 0.4996 0.2098 0.0099  2 Si 1.63
O 0.1231 0.3425 0.1119  1 Si 1.62, 1 Al 1.80
O 0.3214 0.1145 0.1036  1 Si 1.61
O 0.0134 0.2806 0.7150  1 Si 1.64, 1 Al 1.74
O 0.8799 0.1164 0.3630  2 Al 1.71-1.73
O 0.8765 0.8860 0.6507  2 Al 1.77
O 0.3134 0.9959 0.2982  2 Al 1.71-1.75
O 0.6553 0.8913 0.8866  2 Si 1.67-1.68
O 0.1180 0.8925 0.6582  1 Si 1.63, 1 Al 1.81
O 0.8845 0.6599 0.8875  2 Si 1.66-1.67
O 0.9991 0.7250 0.2799  2 Al 1.72-1.80
O 0.6950 0.3030 0.9937  2 Si 1.63-1.65
O 0.9902 0.5033 0.7815  1 Si 1.61, 1 Al 1.74
O 0.3347 0.8939 0.8945  2 Si 1.66-1.69
O 0.4921 0.0061 0.8002  2 Si 1.61-1.63
O 0.1246 0.6601 0.1086  1 Si 1.61, 1 Al 1.80
O 0.1070 0.6472 0.8992  2 Si 1.65-1.67
Si 0.3661 0.8165 0.9997  4 O 1.61-1.69
Si 0.9967 0.6263 0.8206  4 O 1.60-1.67
Si 0.3635 0.0063 0.8307  4 O 1.60-1.66
Si 0.1893 0.0008 0.6318  4 O 1.58-1.67
Si 0.0011 0.1842 0.6274  4 O 1.62-1.67
Si 0.6326 0.1867 0.0030  4 O 1.61-1.66
Si 0.8130 0.3704 0.9961  4 O 1.62-1.65
Si 0.6328 0.8146 0.9920  4 O 1.61-1.68
Si 0.1877 0.3719 0.0056  4 O 1.62-1.65
Si 0.8125 0.6276 0.9923  4 O 1.61-1.66
Si 0.6256 0.0061 0.8240  4 O 1.59-1.67
Si 0.1876 0.6259 0.0037  4 O 1.61-1.66
Si 0.3668 0.1840 0.0079  4 O 1.61-1.68
Ag 0.1833 0.8019 0.8033  4 O 2.29-2.55
Ag 0.8106 0.8152 0.7942  3 O 2.20-2.43
Ag 0.8112 0.1870 0.7965  3 O 2.30-2.47
Al 0.0068 0.1754 0.3808  4 O 1.71-1.83
Al 0.3659 0.9958 0.1754  4 O 1.69-1.82
Al 0.9979 0.3690 0.8199  4 O 1.74-1.78
Al 0.0066 0.8206 0.3863  4 O 1.71-1.80
Al 0.9972 0.8107 0.6260  4 O 1.73-1.81
Al 0.6438 0.9960 0.1617  4 O 1.68-1.80
Al 0.7958 0.0016 0.6202  4 O 1.72-1.82
Al 0.8041 0.0002 0.3853  4 O 1.72-1.76
Al 0.0024 0.3732 0.1858  4 O 1.73-1.80
Al 0.2068 0.9997 0.3884  4 O 1.73-1.79
Al 0.0016 0.6314 0.1801  4 O 1.72-1.80

Results
* space-group type: P1

---

Most stable: #Q